Entry 1:
First-principles (PBE-GGA) data for a relaxed AgBO3 crystal, as listed in the Materials Project.

Unit cell a=6.001 b=6.001 c=6.001 alpha=48.16 beta=48.16 gamma=48.16
Sites, in units of the cell vectors:
Ag 0.000 0.000 0.000
Ag 0.500 0.500 0.500
B 0.250 0.250 0.250
B 0.750 0.750 0.750
O 0.032 0.750 0.468
O 0.250 0.532 0.968
O 0.468 0.032 0.750
O 0.532 0.968 0.250
O 0.750 0.468 0.032
O 0.968 0.250 0.532

E in eV/atom: -5.962
E_form in meV/atom: -1503
Volume in Å³ per atom: 10.994
Crystal system: trigonal

***

Entry 2:
First-principles (PBE-GGA) data for a relaxed Ag2B8O13 crystal, as listed in the Materials Project.

Unit cell a=6.702 b=8.849 c=17.774 alpha=90.00 beta=90.05 gamma=90.00
Sites, in units of the cell vectors:
Ag 0.031 0.061 0.405
Ag 0.031 0.439 0.905
Ag 0.426 0.014 0.883
Ag 0.426 0.486 0.383
Ag 0.574 0.514 0.617
Ag 0.574 0.986 0.117
Ag 0.969 0.561 0.095
Ag 0.969 0.939 0.595
B 0.015 0.504 0.309
B 0.015 0.996 0.809
B 0.034 0.198 0.092
B 0.034 0.238 0.730
B 0.034 0.262 0.230
B 0.034 0.302 0.592
B 0.268 0.731 0.996
B 0.268 0.769 0.496
B 0.373 0.228 0.020
B 0.373 0.272 0.520
B 0.474 0.692 0.230
B 0.474 0.808 0.730
B 0.479 0.568 0.810
B 0.479 0.932 0.310
B 0.497 0.132 0.408
B 0.497 0.368 0.908
B 0.503 0.632 0.092
B 0.503 0.868 0.592
B 0.521 0.068 0.690
B 0.521 0.432 0.190
B 0.526 0.192 0.270
B 0.526 0.308 0.770
B 0.627 0.728 0.480
B 0.627 0.772 0.980
B 0.732 0.231 0.504
B 0.732 0.269 0.004
B 0.966 0.698 0.408
B 0.966 0.738 0.770
B 0.966 0.762 0.270
B 0.966 0.802 0.908
B 0.985 0.004 0.191
B 0.985 0.496 0.691
O 0.033 0.107 0.248
O 0.033 0.393 0.748
O 0.035 0.190 0.658
O 0.035 0.310 0.158
O 0.036 0.147 0.793
O 0.036 0.353 0.293
O 0.046 0.551 0.381
O 0.046 0.949 0.881
O 0.081 0.734 0.968
O 0.081 0.766 0.468
O 0.241 0.173 0.069
O 0.241 0.327 0.569
O 0.306 0.637 0.056
O 0.306 0.863 0.556
O 0.335 0.180 0.459
O 0.335 0.320 0.959
O 0.426 0.681 0.468
O 0.426 0.819 0.968
O 0.451 0.717 0.792
O 0.451 0.783 0.292
O 0.452 0.522 0.882
O 0.452 0.978 0.382
O 0.469 0.537 0.246
O 0.469 0.963 0.746
O 0.499 0.741 0.158
O 0.499 0.759 0.658
O 0.501 0.241 0.342
O 0.501 0.259 0.842
O 0.531 0.037 0.254
O 0.531 0.463 0.754
O 0.548 0.022 0.618
O 0.548 0.478 0.118
O 0.549 0.217 0.708
O 0.549 0.283 0.208
O 0.574 0.181 0.032
O 0.574 0.319 0.532
O 0.665 0.680 0.041
O 0.665 0.820 0.541
O 0.694 0.137 0.444
O 0.694 0.363 0.944
O 0.759 0.673 0.431
O 0.759 0.827 0.931
O 0.919 0.234 0.532
O 0.919 0.266 0.032
O 0.954 0.051 0.119
O 0.954 0.449 0.619
O 0.964 0.647 0.707
O 0.964 0.853 0.207
O 0.965 0.690 0.842
O 0.965 0.810 0.342
O 0.967 0.607 0.252
O 0.967 0.893 0.752

E in eV/atom: -7.490
E_form in meV/atom: -2512
Volume in Å³ per atom: 11.458
Crystal system: monoclinic